1.
Compound: CeP5O14
Source: the Materials Project database
Functional: PBE-GGA
Structure: optimized geometry

Properties
As for the crystal system: triclinic. The energy relative to the lowest polymorph listed for this composition comes out at 0.000 eV per atom. For the density, the calculation gives 3.05 g/cm³. The formation energy comes out at -2.81 eV per atom.

a = 7.321 Å, b = 9.021 Å, c = 9.355 Å
α = 82.21°, β = 77.28°, γ = 69.88°
Fractional positions:
1 Ce 0.997 0.999 0.000
2 Ce 0.464 0.506 0.466
3 P 0.432 0.053 0.127
4 P 0.260 0.401 0.156
5 P 0.848 0.621 0.149
6 P 0.371 0.588 0.876
7 P 0.798 0.466 0.908
8 P 0.883 0.605 0.600
9 P 0.788 0.941 0.678
10 P 0.894 0.118 0.402
11 P 0.362 0.120 0.673
12 P 0.314 0.956 0.435
13 O 0.261 0.227 0.148
14 O 0.328 0.955 0.084
15 O 0.622 0.070 0.045
16 O 0.033 0.486 0.211
17 O 0.312 0.451 0.988
18 O 0.387 0.419 0.250
19 O 0.890 0.567 0.979
20 O 0.881 0.776 0.135
21 O 0.664 0.592 0.233
22 O 0.576 0.579 0.923
23 O 0.229 0.747 0.912
24 O 0.411 0.530 0.727
25 O 0.895 0.473 0.741
26 O 0.829 0.302 0.971
27 O 0.788 0.766 0.695
28 O 0.089 0.588 0.525
29 O 0.728 0.602 0.522
30 O 0.568 0.043 0.736
31 O 0.833 0.975 0.505
32 O 0.924 0.970 0.758
33 O 0.108 0.095 0.444
34 O 0.920 0.078 0.248
35 O 0.762 0.274 0.455
36 O 0.393 0.973 0.573
37 O 0.201 0.122 0.802
38 O 0.367 0.263 0.575
39 O 0.458 0.008 0.301
40 O 0.305 0.796 0.433



2.
Compound: Ba2BeGa
Source: the Materials Project database
Functional: PBE-GGA
Structure: optimized geometry

Properties
As for the crystal system: cubic. For the density, the calculation gives 4.85 g/cm³. The formation energy comes out at 0.39 eV per atom.

a = 5.550 Å, b = 5.550 Å, c = 5.550 Å
α = 60.00°, β = 60.00°, γ = 60.00°
Fractional positions:
1 Ba 0.000 0.000 0.000
2 Ba 0.250 0.250 0.250
3 Be 0.500 0.500 0.500
4 Ga 0.750 0.750 0.750



3.
Compound: NaLiAl4Si2O12
Source: the Materials Project database
Functional: PBE-GGA
Structure: optimized geometry

Properties
As for the crystal system: monoclinic. For the density, the calculation gives 2.77 g/cm³. The formation energy comes out at -2.93 eV per atom.

a = 5.250 Å, b = 5.250 Å, c = 19.371 Å
α = 87.38°, β = 87.38°, γ = 119.40°
Fractional positions:
1 Na 0.087 0.910 0.251
2 Na 0.910 0.087 0.751
3 Li 0.500 0.007 0.002
4 Li 0.007 0.500 0.502
5 Al 0.624 0.807 0.501
6 Al 0.807 0.624 0.001
7 Al 0.375 0.183 0.501
8 Al 0.183 0.375 0.001
9 Al 0.288 0.794 0.646
10 Al 0.794 0.288 0.146
11 Al 0.386 0.537 0.356
12 Al 0.537 0.386 0.856
13 Si 0.612 0.453 0.646
14 Si 0.453 0.612 0.146
15 Si 0.709 0.199 0.356
16 Si 0.199 0.709 0.856
17 O 0.554 0.709 0.674
18 O 0.709 0.554 0.174
19 O 0.460 0.267 0.327
20 O 0.267 0.460 0.827
21 O 0.610 0.471 0.558
22 O 0.471 0.610 0.058
23 O 0.669 0.894 0.328
24 O 0.894 0.669 0.828
25 O 0.986 0.065 0.535
26 O 0.065 0.986 0.035
27 O 0.038 0.476 0.337
28 O 0.476 0.038 0.837
29 O 0.357 0.854 0.553
30 O 0.854 0.357 0.053
31 O 0.391 0.513 0.449
32 O 0.513 0.391 0.949
33 O 0.009 0.922 0.467
34 O 0.922 0.009 0.967
35 O 0.346 0.128 0.675
36 O 0.128 0.346 0.175
37 O 0.648 0.147 0.444
38 O 0.147 0.648 0.944
39 O 0.930 0.499 0.665
40 O 0.499 0.930 0.165



4.
Compound: RbLiAgO2
Source: the Materials Project database
Functional: PBE-GGA
Structure: optimized geometry

Properties
As for the crystal system: orthorhombic. The energy relative to the lowest polymorph listed for this composition comes out at 0.000 eV per atom. For the density, the calculation gives 4.84 g/cm³. The formation energy comes out at -1.12 eV per atom.

a = 3.562 Å, b = 3.538 Å, c = 6.323 Å
α = 90.00°, β = 90.00°, γ = 90.00°
Fractional positions:
1 Rb 0.500 0.500 0.500
2 Li 0.000 0.500 0.000
3 Ag 0.500 0.000 0.000
4 O 0.000 0.000 0.205
5 O 0.000 0.000 0.795



5.
Compound: Ta2CuO6
Source: the Materials Project database
Functional: PBE-GGA
Structure: optimized geometry

Properties
As for the crystal system: orthorhombic. The energy relative to the lowest polymorph listed for this composition comes out at 0.005 eV per atom. For the density, the calculation gives 7.92 g/cm³. The formation energy comes out at -2.77 eV per atom.

a = 7.589 Å, b = 7.586 Å, c = 30.398 Å
α = 90.00°, β = 90.00°, γ = 90.00°
Fractional positions:
1 Cu 0.000 0.500 0.000
2 Cu 0.000 0.000 0.125
3 Cu 0.000 0.500 0.250
4 Cu 0.000 0.500 0.375
5 Cu 0.000 0.000 0.375
6 Cu 0.000 0.000 0.626
7 Cu 0.000 0.500 0.625
8 Cu 0.000 0.500 0.876
9 Cu 0.000 0.000 0.875
10 Cu 0.500 0.000 0.249
11 Cu 0.500 0.000 0.750
12 Cu 0.500 0.000 0.125
13 Cu 0.500 0.000 0.625
14 Cu 0.500 0.500 0.500
15 Cu 0.500 0.000 0.376
16 Cu 0.500 0.000 0.874
17 O 0.000 0.689 0.046
18 O 0.000 0.307 0.295
19 O 0.000 0.691 0.206
20 O 0.000 0.693 0.295
21 O 0.000 0.296 0.450
22 O 0.000 0.295 0.550
23 O 0.000 0.704 0.450
24 O 0.000 0.705 0.550
25 O 0.000 0.286 0.797
26 O 0.000 0.714 0.702
27 O 0.000 0.714 0.797
28 O 0.000 0.688 0.954
29 O 0.178 0.000 0.077
30 O 0.178 0.000 0.174
31 O 0.182 0.000 0.328
32 O 0.186 0.000 0.421
33 O 0.186 0.000 0.578
34 O 0.189 0.000 0.670
35 O 0.187 0.000 0.830
36 O 0.180 0.000 0.922
37 O 0.203 0.701 0.125
38 O 0.203 0.299 0.125
39 O 0.189 0.683 0.375
40 O 0.189 0.317 0.375
41 O 0.191 0.319 0.625
42 O 0.191 0.681 0.625
43 O 0.185 0.314 0.875
44 O 0.185 0.686 0.875
45 O 0.296 0.195 0.000
46 O 0.312 0.182 0.251
47 O 0.296 0.805 0.000
48 O 0.294 0.193 0.500
49 O 0.312 0.818 0.251
50 O 0.311 0.181 0.750
51 O 0.294 0.807 0.500
52 O 0.311 0.819 0.750
53 O 0.309 0.500 0.053
54 O 0.307 0.500 0.199
55 O 0.306 0.500 0.301
56 O 0.321 0.500 0.452
57 O 0.321 0.500 0.547
58 O 0.304 0.500 0.802
59 O 0.304 0.500 0.699
60 O 0.309 0.500 0.947
61 O 0.500 0.185 0.079
62 O 0.500 0.184 0.172
63 O 0.500 0.189 0.330
64 O 0.500 0.189 0.579
65 O 0.500 0.815 0.079
66 O 0.500 0.189 0.421
67 O 0.500 0.811 0.330
68 O 0.500 0.189 0.671
69 O 0.500 0.189 0.829
70 O 0.500 0.811 0.421
71 O 0.500 0.811 0.579
72 O 0.500 0.187 0.920
73 O 0.500 0.816 0.172
74 O 0.500 0.811 0.829
75 O 0.500 0.813 0.920
76 O 0.500 0.811 0.671
77 O 0.691 0.500 0.053
78 O 0.693 0.500 0.199
79 O 0.694 0.500 0.301
80 O 0.679 0.500 0.452
81 O 0.679 0.500 0.547
82 O 0.696 0.500 0.699
83 O 0.696 0.500 0.802
84 O 0.691 0.500 0.947
85 O 0.704 0.195 0.000
86 O 0.704 0.805 0.000
87 O 0.688 0.182 0.251
88 O 0.706 0.193 0.500
89 O 0.688 0.818 0.251
90 O 0.706 0.807 0.500
91 O 0.689 0.181 0.750
92 O 0.689 0.819 0.750
93 O 0.797 0.299 0.125
94 O 0.797 0.701 0.125
95 O 0.811 0.317 0.375
96 O 0.809 0.319 0.625
97 O 0.811 0.683 0.375
98 O 0.809 0.681 0.625
99 O 0.815 0.314 0.875
100 O 0.815 0.686 0.875
101 O 0.822 0.000 0.077
102 O 0.818 0.000 0.328
103 O 0.814 0.000 0.578
104 O 0.822 0.000 0.174
105 O 0.814 0.000 0.421
106 O 0.811 0.000 0.670
107 O 0.813 0.000 0.830
108 O 0.820 0.000 0.922
109 O 0.000 0.311 0.046
110 O 0.000 0.309 0.206
111 O 0.000 0.286 0.702
112 O 0.000 0.312 0.954
113 Ta 0.248 0.743 0.185
114 Ta 0.248 0.751 0.439
115 Ta 0.248 0.745 0.689
116 Ta 0.255 0.749 0.940
117 Ta 0.252 0.747 0.062
118 Ta 0.248 0.257 0.185
119 Ta 0.253 0.747 0.311
120 Ta 0.248 0.249 0.439
121 Ta 0.248 0.750 0.561
122 Ta 0.246 0.744 0.812
123 Ta 0.248 0.255 0.689
124 Ta 0.255 0.251 0.940
125 Ta 0.252 0.253 0.062
126 Ta 0.253 0.253 0.311
127 Ta 0.248 0.250 0.561
128 Ta 0.246 0.256 0.812
129 Ta 0.752 0.743 0.185
130 Ta 0.752 0.751 0.439
131 Ta 0.752 0.745 0.689
132 Ta 0.745 0.749 0.940
133 Ta 0.752 0.257 0.185
134 Ta 0.748 0.747 0.062
135 Ta 0.747 0.747 0.311
136 Ta 0.752 0.750 0.561
137 Ta 0.754 0.744 0.812
138 Ta 0.752 0.249 0.439
139 Ta 0.752 0.255 0.689
140 Ta 0.745 0.251 0.940
141 Ta 0.748 0.253 0.062
142 Ta 0.747 0.253 0.311
143 Ta 0.752 0.250 0.561
144 Ta 0.754 0.256 0.812



6.
Compound: ZrS2O8
Source: the Materials Project database
Functional: PBE-GGA
Structure: optimized geometry

Properties
As for the crystal system: orthorhombic. For the density, the calculation gives 3.47 g/cm³. The formation energy comes out at -2.35 eV per atom.

a = 5.548 Å, b = 8.744 Å, c = 11.165 Å
α = 90.00°, β = 90.00°, γ = 90.00°
Fractional positions:
1 Zr 0.250 0.256 0.900
2 Zr 0.750 0.744 0.100
3 Zr 0.250 0.756 0.600
4 Zr 0.750 0.244 0.400
5 S 0.750 0.496 0.846
6 S 0.250 0.504 0.154
7 S 0.750 0.996 0.654
8 S 0.250 0.004 0.346
9 S 0.250 0.354 0.594
10 S 0.750 0.646 0.406
11 S 0.250 0.854 0.906
12 S 0.750 0.146 0.094
13 O 0.250 0.431 0.033
14 O 0.750 0.569 0.967
15 O 0.250 0.931 0.467
16 O 0.750 0.069 0.533
17 O 0.250 0.398 0.251
18 O 0.750 0.602 0.749
19 O 0.250 0.898 0.249
20 O 0.750 0.102 0.751
21 O 0.531 0.667 0.480
22 O 0.031 0.333 0.520
23 O 0.969 0.167 0.020
24 O 0.469 0.833 0.980
25 O 0.035 0.108 0.341
26 O 0.535 0.892 0.659
27 O 0.465 0.608 0.159
28 O 0.965 0.392 0.841
29 O 0.965 0.892 0.659
30 O 0.465 0.108 0.341
31 O 0.535 0.392 0.841
32 O 0.035 0.608 0.159
33 O 0.750 0.256 0.194
34 O 0.250 0.744 0.806
35 O 0.750 0.756 0.306
36 O 0.250 0.244 0.694
37 O 0.750 0.486 0.359
38 O 0.250 0.514 0.641
39 O 0.750 0.986 0.141
40 O 0.250 0.014 0.859
41 O 0.531 0.167 0.020
42 O 0.031 0.833 0.980
43 O 0.969 0.667 0.480
44 O 0.469 0.333 0.520